A plane-wave DFT calculation with GGA+U was carried out for a relaxed structure of BaSrZnWO6.

Results
- Calculated density: 7.0 g/cm3
- Formation energy from the elements: -2653.3 meV per atom
- Magnetic moment: 0.00 μB per atom

Cell lengths 5.773, 5.773, 5.773 Å; angles 60.00, 60.00, 60.00 degrees
Fractional coordinates of all 10 atoms:
Ba  0.000  0.000  0.000
Sr  0.500  0.500  0.500
Zn  0.250  0.250  0.250
W  0.750  0.750  0.750
O  0.510  0.510  0.990
O  0.510  0.990  0.510
O  0.510  0.990  0.990
O  0.990  0.510  0.510
O  0.990  0.510  0.990
O  0.990  0.990  0.510

***

A plane-wave DFT calculation with GGA+U was carried out for a relaxed structure of CrF5.

Results
- Calculated density: 2.4 g/cm3
- Formation energy from the elements: -2006.5 meV per atom
- Magnetic moment: 0.46 μB per atom

Cell lengths 5.954, 5.954, 11.888 Å; angles 90.00, 90.00, 150.85 degrees
Fractional coordinates of all 12 atoms:
Cr  0.000  0.000  0.000
Cr  0.000  0.000  0.500
F  0.128  0.872  0.581
F  0.128  0.872  0.919
F  0.206  0.794  0.250
F  0.443  0.557  0.588
F  0.443  0.557  0.912
F  0.557  0.443  0.088
F  0.557  0.443  0.412
F  0.794  0.206  0.750
F  0.872  0.128  0.081
F  0.872  0.128  0.419

***

A plane-wave DFT calculation with GGA+U was carried out for a relaxed structure of Cs2MnNiF6.

Results
- Calculated density: 4.7 g/cm3
- Formation energy from the elements: -2800.3 meV per atom
- Magnetic moment: 0.70 μB per atom

Cell lengths 10.787, 10.787, 10.787 Å; angles 33.92, 33.92, 33.92 degrees
Fractional coordinates of all 20 atoms:
Cs  0.000  0.000  0.000
Cs  0.152  0.152  0.152
Cs  0.417  0.417  0.417
Cs  0.572  0.572  0.572
Mn  0.287  0.287  0.287
Mn  0.878  0.878  0.878
Ni  0.694  0.694  0.694
Ni  0.784  0.784  0.784
F  0.082  0.082  0.574
F  0.082  0.574  0.082
F  0.114  0.684  0.684
F  0.459  0.881  0.881
F  0.497  0.497  0.983
F  0.497  0.983  0.497
F  0.574  0.082  0.082
F  0.684  0.114  0.684
F  0.684  0.684  0.114
F  0.881  0.459  0.881
F  0.881  0.881  0.459
F  0.983  0.497  0.497

***

A plane-wave DFT calculation with GGA+U was carried out for a relaxed structure of NiSbP2O8.

Results
- Calculated density: 4.0 g/cm3
- Formation energy from the elements: -2183.2 meV per atom
- Magnetic moment: 0.16 μB per atom

Cell lengths 4.940, 6.148, 10.152 Å; angles 90.00, 91.59, 90.00 degrees
Fractional coordinates of all 24 atoms:
Ni  0.058  0.250  0.223
Ni  0.942  0.750  0.777
Sb  0.456  0.250  0.722
Sb  0.544  0.750  0.278
P  0.097  0.750  0.091
P  0.392  0.750  0.599
P  0.608  0.250  0.401
P  0.903  0.250  0.909
O  0.150  0.750  0.946
O  0.211  0.250  0.885
O  0.244  0.555  0.168
O  0.244  0.945  0.168
O  0.247  0.552  0.669
O  0.247  0.948  0.669
O  0.304  0.250  0.381
O  0.306  0.750  0.451
O  0.694  0.250  0.549
O  0.696  0.750  0.619
O  0.753  0.052  0.331
O  0.753  0.448  0.331
O  0.756  0.055  0.832
O  0.756  0.445  0.832
O  0.789  0.750  0.115
O  0.850  0.250  0.054

***

A plane-wave DFT calculation with GGA+U was carried out for a relaxed structure of Sr2CeNiO6.

Results
- Calculated density: 5.8 g/cm3
- Formation energy from the elements: -2648.1 meV per atom
- Magnetic moment: 0.00 μB per atom

Cell lengths 5.740, 5.740, 5.740 Å; angles 60.00, 60.00, 60.00 degrees
Fractional coordinates of all 10 atoms:
Sr  0.250  0.250  0.250
Sr  0.750  0.750  0.750
Ce  0.000  0.000  0.000
Ni  0.500  0.500  0.500
O  0.268  0.268  0.732
O  0.268  0.732  0.268
O  0.268  0.732  0.732
O  0.732  0.268  0.268
O  0.732  0.268  0.732
O  0.732  0.732  0.268

***

A plane-wave DFT calculation with GGA+U was carried out for a relaxed structure of Li3Fe5O8.

Results
- Calculated density: 4.7 g/cm3
- Formation energy from the elements: -1778.3 meV per atom
- Magnetic moment: 1.44 μB per atom

Cell lengths 8.560, 8.560, 8.322 Å; angles 90.00, 90.00, 90.68 degrees
Fractional coordinates of all 64 atoms:
Li  0.121  0.879  0.250
Li  0.121  0.879  0.750
Li  0.132  0.371  0.750
Li  0.371  0.132  0.250
Li  0.371  0.371  0.000
Li  0.371  0.371  0.500
Li  0.629  0.629  0.000
Li  0.629  0.629  0.500
Li  0.629  0.868  0.750
Li  0.868  0.629  0.250
Li  0.879  0.121  0.250
Li  0.879  0.121  0.750
Fe  0.118  0.118  0.000
Fe  0.118  0.118  0.500
Fe  0.123  0.624  0.000
Fe  0.123  0.624  0.500
Fe  0.132  0.370  0.250
Fe  0.370  0.132  0.750
Fe  0.376  0.877  0.000
Fe  0.376  0.877  0.500
Fe  0.378  0.622  0.750
Fe  0.380  0.620  0.250
Fe  0.620  0.380  0.750
Fe  0.622  0.378  0.250
Fe  0.624  0.123  0.000
Fe  0.624  0.123  0.500
Fe  0.630  0.868  0.250
Fe  0.868  0.630  0.750
Fe  0.877  0.376  0.000
Fe  0.877  0.376  0.500
Fe  0.882  0.882  0.000
Fe  0.882  0.882  0.500
O  0.114  0.379  0.506
O  0.114  0.379  0.994
O  0.123  0.125  0.750
O  0.123  0.625  0.750
O  0.125  0.123  0.250
O  0.130  0.870  0.000
O  0.130  0.870  0.500
O  0.136  0.624  0.250
O  0.362  0.638  0.006
O  0.362  0.638  0.494
O  0.374  0.388  0.250
O  0.375  0.877  0.750
O  0.376  0.864  0.250
O  0.379  0.114  0.006
O  0.379  0.114  0.494
O  0.388  0.374  0.750
O  0.612  0.626  0.250
O  0.621  0.886  0.506
O  0.621  0.886  0.994
O  0.624  0.136  0.750
O  0.625  0.123  0.250
O  0.626  0.612  0.750
O  0.638  0.362  0.506
O  0.638  0.362  0.994
O  0.864  0.376  0.750
O  0.870  0.130  0.000
O  0.870  0.130  0.500
O  0.875  0.877  0.750
O  0.877  0.375  0.250
O  0.877  0.875  0.250
O  0.886  0.621  0.006
O  0.886  0.621  0.494

***

A plane-wave DFT calculation with GGA+U was carried out for a relaxed structure of CoGe2O6.

Results
- Calculated density: 4.1 g/cm3
- Energy above the most stable polymorph in this dataset: 4 meV/atom
- Formation energy from the elements: -1573.2 meV per atom
- Magnetic moment: 0.33 μB per atom

Cell lengths 10.150, 8.951, 5.500 Å; angles 90.00, 104.12, 90.00 degrees
Fractional coordinates of all 36 atoms:
Co  0.241  0.149  0.260
Co  0.241  0.351  0.760
Co  0.759  0.649  0.240
Co  0.759  0.851  0.740
Ge  0.048  0.667  0.691
Ge  0.048  0.833  0.191
Ge  0.479  0.658  0.867
Ge  0.479  0.842  0.367
Ge  0.521  0.158  0.633
Ge  0.521  0.342  0.133
Ge  0.952  0.167  0.809
Ge  0.952  0.333  0.309
O  0.115  0.702  0.429
O  0.115  0.798  0.929
O  0.119  0.009  0.301
O  0.119  0.491  0.801
O  0.133  0.179  0.896
O  0.133  0.321  0.396
O  0.341  0.200  0.609
O  0.341  0.300  0.109
O  0.407  0.031  0.312
O  0.407  0.469  0.812
O  0.407  0.721  0.552
O  0.407  0.779  0.052
O  0.593  0.221  0.948
O  0.593  0.279  0.448
O  0.593  0.531  0.188
O  0.593  0.969  0.688
O  0.659  0.700  0.891
O  0.659  0.800  0.391
O  0.867  0.679  0.604
O  0.867  0.821  0.104
O  0.881  0.509  0.199
O  0.881  0.991  0.699
O  0.885  0.202  0.071
O  0.885  0.298  0.571

***

A plane-wave DFT calculation with GGA+U was carried out for a relaxed structure of La4Co3O9.

Results
- Calculated density: 6.5 g/cm3
- Formation energy from the elements: -2840.2 meV per atom
- Magnetic moment: 0.56 μB per atom

Cell lengths 5.487, 28.451, 5.745 Å; angles 90.00, 90.00, 90.00 degrees
Fractional coordinates of all 64 atoms:
La  0.246  0.049  0.017
La  0.246  0.451  0.017
La  0.249  0.172  0.980
La  0.249  0.328  0.980
La  0.251  0.672  0.480
La  0.251  0.828  0.480
La  0.254  0.549  0.517
La  0.254  0.951  0.517
La  0.746  0.049  0.483
La  0.746  0.451  0.483
La  0.749  0.172  0.520
La  0.749  0.328  0.520
La  0.751  0.672  0.020
La  0.751  0.828  0.020
La  0.754  0.549  0.983
La  0.754  0.951  0.983
Co  0.204  0.250  0.440
Co  0.250  0.110  0.499
Co  0.250  0.390  0.499
Co  0.250  0.610  0.999
Co  0.250  0.890  0.999
Co  0.296  0.750  0.940
Co  0.704  0.250  0.060
Co  0.750  0.110  0.001
Co  0.750  0.390  0.001
Co  0.750  0.610  0.501
Co  0.750  0.890  0.501
Co  0.796  0.750  0.560
O  0.000  0.119  0.250
O  0.000  0.381  0.250
O  0.000  0.619  0.750
O  0.000  0.881  0.750
O  0.005  0.602  0.254
O  0.005  0.898  0.254
O  0.169  0.750  0.612
O  0.236  0.688  0.079
O  0.236  0.812  0.079
O  0.246  0.530  0.933
O  0.246  0.970  0.933
O  0.254  0.030  0.433
O  0.254  0.470  0.433
O  0.264  0.188  0.579
O  0.264  0.312  0.579
O  0.331  0.250  0.112
O  0.495  0.102  0.754
O  0.495  0.398  0.754
O  0.500  0.119  0.250
O  0.500  0.381  0.250
O  0.500  0.619  0.750
O  0.500  0.881  0.750
O  0.505  0.602  0.246
O  0.505  0.898  0.246
O  0.669  0.750  0.888
O  0.736  0.688  0.421
O  0.736  0.812  0.421
O  0.746  0.530  0.567
O  0.746  0.970  0.567
O  0.754  0.030  0.067
O  0.754  0.470  0.067
O  0.764  0.188  0.921
O  0.764  0.312  0.921
O  0.831  0.250  0.388
O  0.995  0.102  0.746
O  0.995  0.398  0.746

***

Repeat the third record exactly.
A plane-wave DFT calculation with GGA+U was carried out for a relaxed structure of Cs2MnNiF6.

Results
- Calculated density: 4.7 g/cm3
- Formation energy from the elements: -2800.3 meV per atom
- Magnetic moment: 0.70 μB per atom

Cell lengths 10.787, 10.787, 10.787 Å; angles 33.92, 33.92, 33.92 degrees
Fractional coordinates of all 20 atoms:
Cs  0.000  0.000  0.000
Cs  0.152  0.152  0.152
Cs  0.417  0.417  0.417
Cs  0.572  0.572  0.572
Mn  0.287  0.287  0.287
Mn  0.878  0.878  0.878
Ni  0.694  0.694  0.694
Ni  0.784  0.784  0.784
F  0.082  0.082  0.574
F  0.082  0.574  0.082
F  0.114  0.684  0.684
F  0.459  0.881  0.881
F  0.497  0.497  0.983
F  0.497  0.983  0.497
F  0.574  0.082  0.082
F  0.684  0.114  0.684
F  0.684  0.684  0.114
F  0.881  0.459  0.881
F  0.881  0.881  0.459
F  0.983  0.497  0.497

***

Number 5 is which compound?
Sr2CeNiO6